1.
{"formula": "TlSiPt5", "functional": "PBE-GGA", "state": "relaxed", "sg": "P4/mmm (123)", "lattice": [[4.014, 0.000, 0.000], [0.000, 4.014, 0.000], [0.000, 0.000, 7.249]], "species": ["Tl", "Si", "Pt", "Pt", "Pt", "Pt", "Pt"], "fractional_positions": [[0.000, 0.000, 0.000], [0.500, 0.500, 0.500], [0.000, 0.500, 0.301], [0.000, 0.500, 0.699], [0.500, 0.000, 0.301], [0.500, 0.000, 0.699], [0.500, 0.500, 0.000]]}

***

2.
{"formula": "TmSi2Pt2", "functional": "PBE-GGA", "state": "relaxed", "sg": "I4/mmm (139)", "lattice": [[-2.090, 2.090, 4.898], [2.090, -2.090, 4.898], [2.090, 2.090, -4.898]], "species": ["Tm", "Si", "Si", "Pt", "Pt"], "fractional_positions": [[0.000, 0.000, 0.000], [0.383, 0.383, 0.000], [0.617, 0.617, 0.000], [0.250, 0.750, 0.500], [0.750, 0.250, 0.500]]}

***

Number 1: total DFT energy (no corrections) -5.781 eV/atom. Number 2: total DFT energy (no corrections) -6.494 eV/atom.